VASP calculation (PBE-GGA) on crystalline Eu2Cu5Ni5 at its relaxed geometry.

Lattice parameters (Å, degrees): 4.005 5.070 8.794 90.00 90.00 90.00
Sites, in units of the cell vectors:
Eu 0.000 0.000 0.000
Eu 0.000 0.500 0.500
Cu 0.000 0.000 0.332
Cu 0.000 0.000 0.668
Cu 0.000 0.500 0.167
Cu 0.000 0.500 0.833
Cu 0.500 0.000 0.500
Ni 0.500 0.250 0.249
Ni 0.500 0.250 0.751
Ni 0.500 0.500 0.000
Ni 0.500 0.750 0.249
Ni 0.500 0.750 0.751

Summary:
Space-group type: Pmmm, No. 47
Total DFT energy (no corrections) in eV for the cell shown: -71.7